(1)
LiDy2Rh | PBE | optimized geometry

Lattice parameters (Å, degrees): 4.9317 4.9317 4.9317 60.00 60.00 60.00
Atoms (fractional coordinates):
Li 0.0000 0.0000 0.0000
Dy 0.2500 0.2500 0.2500
Dy 0.7500 0.7500 0.7500
Rh 0.5000 0.5000 0.5000

Properties
SG	Fm-3m
energy relative to the elements	-11.136	kcal/mol of atoms
E	-5.105	eV per atom

(2)
Li3DySb2 | PBE | optimized geometry

Lattice parameters (Å, degrees): 4.5471 4.5471 7.1692 90.00 90.00 120.00
Atoms (fractional coordinates):
Li 0.0000 0.0000 0.0000
Li 0.3333 0.6667 0.1471
Li 0.6667 0.3333 0.8529
Dy 0.0000 0.0000 0.5000
Sb 0.3333 0.6667 0.7472
Sb 0.6667 0.3333 0.2528

Properties
SG	P-3m1
energy relative to the elements	-20.272	kcal/mol of atoms
E	-3.914	eV per atom
corrected total energy (MP2020 scheme)	-23.9	eV per formula unit

(3)
LiDySn | PBE | optimized geometry

Lattice parameters (Å, degrees): 9.3696 9.3696 7.3333 90.00 90.00 120.00
Atoms (fractional coordinates):
Li 0.1661 0.3322 0.0000
Li 0.1661 0.8339 0.0000
Li 0.3322 0.1661 0.5000
Li 0.3333 0.6667 0.3725
Li 0.6667 0.3333 0.8725
Li 0.6678 0.8339 0.0000
Li 0.8339 0.1661 0.5000
Li 0.8339 0.6678 0.5000
Dy 0.0000 0.0000 0.2140
Dy 0.0000 0.0000 0.7140
Dy 0.0269 0.5134 0.7062
Dy 0.4866 0.5134 0.7062
Dy 0.4866 0.9731 0.7062
Dy 0.5134 0.0269 0.2062
Dy 0.5134 0.4866 0.2062
Dy 0.9731 0.4866 0.2062
Sn 0.1673 0.3347 0.4413
Sn 0.1673 0.8327 0.4413
Sn 0.3333 0.6667 0.9761
Sn 0.3347 0.1673 0.9413
Sn 0.6653 0.8327 0.4413
Sn 0.6667 0.3333 0.4761
Sn 0.8327 0.1673 0.9413
Sn 0.8327 0.6653 0.9413

Properties
SG	P6_3mc
total moment	0.0	μB per cell
energy relative to the elements	-14.986	kcal/mol of atoms
E	-4.158	eV per atom

(4)
LiDySn2 | PBE | optimized geometry

Lattice parameters (Å, degrees): 9.7442 9.7442 4.5644 90.00 90.00 154.30
Atoms (fractional coordinates):
Li 0.1734 0.8266 0.7500
Li 0.8266 0.1734 0.2500
Dy 0.3932 0.6068 0.7500
Dy 0.6068 0.3932 0.2500
Sn 0.0434 0.9566 0.7500
Sn 0.2470 0.7530 0.2500
Sn 0.7530 0.2470 0.7500
Sn 0.9566 0.0434 0.2500

Properties
SG	Cmcm
total moment	0.0	μB per cell
energy relative to the elements	-10.048	kcal/mol of atoms
E	-4.069	eV per atom

(5)
LiDyTl2 | PBE | optimized geometry

Lattice parameters (Å, degrees): 5.2013 5.2013 5.2013 60.00 60.00 60.00
Atoms (fractional coordinates):
Li 0.0000 0.0000 0.0000
Dy 0.5000 0.5000 0.5000
Tl 0.2500 0.2500 0.2500
Tl 0.7500 0.7500 0.7500

Properties
SG	Fm-3m
energy relative to the elements	-7.332	kcal/mol of atoms
E	-3.128	eV per atom

(6)
LiDy2Tl | PBE | optimized geometry

Lattice parameters (Å, degrees): 5.2843 5.2843 5.2843 60.00 60.00 60.00
Atoms (fractional coordinates):
Li 0.0000 0.0000 0.0000
Dy 0.2500 0.2500 0.2500
Dy 0.7500 0.7500 0.7500
Tl 0.5000 0.5000 0.5000

Properties
SG	Fm-3m
total moment	0.0	μB per cell
energy relative to the elements	-4.435	kcal/mol of atoms
E	-3.564	eV per atom